## Sr4As2O (PBE)

Data for crystalline Sr4As2O at its relaxed geometry.

Values from the calculation:
calculated total energy	-4.612	eV per atom
energy relative to the elements	-1.706	eV per atom

a b c (Å): 4.883 4.883 16.460
angles (deg): 90.00 90.00 90.00
Space group I4/mmm (No. 139)
Symmetry-distinct sites (fractional):
Sr: 0.000 0.000 0.174 [4 per cell]
Sr: 0.000 0.500 0.000 [4 per cell]
As: 0.000 0.000 0.364 [4 per cell]
O: 0.000 0.000 0.000 [2 per cell]

## LiTa3O8 (PBE)

Data for crystalline LiTa3O8 at its relaxed geometry.

Values from the calculation:
calculated total energy	-9.204	eV per atom
energy relative to the elements	-3.240	eV per atom

a b c (Å): 7.737 16.865 9.047
angles (deg): 90.00 90.00 90.00
Space group Pmmn (No. 59, origin choice 2)
Symmetry-distinct sites (fractional):
Li: 0.250 0.006 0.040 [4 per cell]
Li: 0.250 0.084 0.591 [4 per cell]
Ta: 0.000 0.060 0.312 [8 per cell]
Ta: 0.000 0.250 0.553 [4 per cell]
Ta: 0.002 0.133 0.893 [8 per cell]
Ta: 0.002 0.750 0.812 [4 per cell]
O: 0.000 0.000 0.500 [4 per cell]
O: 0.001 0.632 0.880 [8 per cell]
O: 0.025 0.250 0.952 [4 per cell]
O: 0.027 0.675 0.624 [8 per cell]
O: 0.041 0.162 0.689 [8 per cell]
O: 0.042 0.520 0.160 [8 per cell]
O: 0.250 0.073 0.349 [4 per cell]
O: 0.250 0.103 0.916 [4 per cell]
O: 0.250 0.250 0.202 [2 per cell]
O: 0.250 0.250 0.518 [2 per cell]
O: 0.250 0.539 0.694 [4 per cell]
O: 0.250 0.639 0.102 [4 per cell]
O: 0.250 0.750 0.412 [2 per cell]
O: 0.250 0.750 0.831 [2 per cell]

## Lu2InAu2 (PBE)

Data for crystalline Lu2InAu2 at its relaxed geometry.

Values from the calculation:
calculated total energy	-4.473	eV per atom
energy relative to the elements	-0.805	eV per atom

a b c (Å): 7.940 7.940 3.596
angles (deg): 90.00 90.00 90.00
Space group P4/mbm (No. 127)
Symmetry-distinct sites (fractional):
Lu: 0.169 0.331 0.000 [4 per cell]
In: 0.000 0.000 0.500 [2 per cell]
Au: 0.129 0.629 0.500 [4 per cell]